VASP calculation (PBE with a Hubbard U) on a geometry-optimized V2H12C4S4O15 structure.

Geometry as CIF:
```
data_V2H12C4S4O15
_cell_length_a 21.272
_cell_length_b 6.045
_cell_length_c 17.017
_cell_angle_alpha 90.00
_cell_angle_beta 128.39
_cell_angle_gamma 90.00
_space_group_name_H-M_alt 'C 1 2/c 1'
_space_group_IT_number 15
loop_
_space_group_symop_operation_xyz
'x,y,z'
'-x,-y,-z'
'-x,y,-z+1/2'
'x,-y,z+1/2'
'x+1/2,y+1/2,z'
'-x+1/2,-y+1/2,-z'
'-x+1/2,y+1/2,-z+1/2'
'x+1/2,-y+1/2,z+1/2'
loop_
_atom_site_label
_atom_site_fract_x
_atom_site_fract_y
_atom_site_fract_z
V1 0.028 0.009 0.371
H1 0.094 0.416 0.094
H2 0.130 0.352 0.822
H3 0.160 0.474 0.571
H4 0.190 0.471 0.695
H5 0.212 0.449 0.947
H6 0.219 0.469 0.847
C1 0.139 0.459 0.616
C2 0.178 0.473 0.866
S1 0.099 0.191 0.593
S2 0.138 0.258 0.337
O1 0.000 0.071 0.750
O2 0.037 0.178 0.480
O3 0.053 0.188 0.634
O4 0.080 0.239 0.227
O5 0.091 0.257 0.379
O6 0.099 0.164 0.940
O7 0.162 0.028 0.637
O8 0.202 0.097 0.387
```

Results
calculated formation energy: -1.1645 eV/atom
ρ: 2.1 Mg/m³